#P
{"formula": "SiC", "functional": "PBE", "state": "relaxed", "m_tot_mub_per_cell": 0.0, "vol_a3_per_atom": 10.493, "lattice_angstrom": [[-2.8573, -0.0054, 1.1874], [2.4429, -0.4500, 1.8449], [6.2428, 97.2910, 15.4628]], "species": ["Si", "Si", "Si", "Si", "Si", "Si", "Si", "Si", "Si", "Si", "Si", "Si", "Si", "Si", "Si", "Si", "Si", "Si", "Si", "Si", "Si", "Si", "Si", "Si", "Si", "Si", "Si", "Si", "Si", "Si", "Si", "Si", "Si", "Si", "Si", "Si", "Si", "Si", "Si", "C", "C", "C", "C", "C", "C", "C", "C", "C", "C", "C", "C", "C", "C", "C", "C", "C", "C", "C", "C", "C", "C", "C", "C", "C", "C", "C", "C", "C", "C", "C", "C", "C", "C", "C", "C", "C", "C", "C"], "fractional_positions": [[0.3333, 0.6667, 0.1795], [0.0000, 0.0000, 0.7948], [0.3333, 0.6667, 0.6154], [0.6667, 0.3333, 0.4615], [0.3333, 0.6667, 0.9744], [0.3333, 0.6667, 0.7692], [0.0000, 0.0000, 0.5385], [0.3333, 0.6667, 0.5641], [0.3333, 0.6667, 0.9231], [0.0000, 0.0000, 0.1538], [0.6667, 0.3333, 0.0513], [0.0000, 0.0000, 0.8974], [0.6667, 0.3333, 0.4102], [0.3333, 0.6667, 0.3333], [0.3333, 0.6667, 0.4359], [0.0000, 0.0000, 0.8461], [0.3333, 0.6667, 0.5128], [0.6667, 0.3333, 0.8205], [0.0000, 0.0000, 0.4872], [0.6667, 0.3333, 0.5897], [0.0000, 0.0000, 0.6923], [0.6667, 0.3333, 0.2564], [0.6667, 0.3333, 0.7436], [0.6667, 0.3333, 0.2051], [0.3333, 0.6667, 0.7179], [0.3333, 0.6667, 0.0256], [0.0000, 0.0000, 0.2308], [0.0000, 0.0000, 0.6410], [0.3333, 0.6667, 0.1282], [0.3333, 0.6667, 0.8718], [0.0000, 0.0000, 0.0769], [0.6667, 0.3333, 0.3589], [0.0000, 0.0000, 0.3077], [0.6667, 0.3333, 0.1026], [0.0000, 0.0000, 0.0000], [0.6667, 0.3333, 0.6667], [0.6667, 0.3333, 0.9487], [0.0000, 0.0000, 0.3846], [0.3333, 0.6667, 0.2820], [0.0000, 0.0000, 0.4039], [0.0000, 0.0000, 0.6602], [0.0000, 0.0000, 0.3270], [0.6667, 0.3333, 0.4295], [0.6667, 0.3333, 0.6090], [0.3333, 0.6667, 0.1987], [0.0000, 0.0000, 0.9167], [0.0000, 0.0000, 0.8654], [0.0000, 0.0000, 0.0193], [0.3333, 0.6667, 0.4552], [0.3333, 0.6667, 0.7372], [0.3333, 0.6667, 0.7885], [0.3333, 0.6667, 0.1474], [0.3333, 0.6667, 0.0449], [0.6667, 0.3333, 0.8398], [0.6667, 0.3333, 0.1218], [0.3333, 0.6667, 0.3526], [0.6667, 0.3333, 0.7629], [0.6667, 0.3333, 0.2756], [0.6667, 0.3333, 0.9680], [0.0000, 0.0000, 0.8141], [0.0000, 0.0000, 0.7115], [0.0000, 0.0000, 0.5577], [0.3333, 0.6667, 0.9423], [0.6667, 0.3333, 0.3782], [0.0000, 0.0000, 0.5064], [0.3333, 0.6667, 0.8910], [0.3333, 0.6667, 0.3013], [0.6667, 0.3333, 0.2243], [0.6667, 0.3333, 0.6859], [0.0000, 0.0000, 0.1731], [0.3333, 0.6667, 0.9936], [0.6667, 0.3333, 0.4808], [0.3333, 0.6667, 0.5321], [0.3333, 0.6667, 0.5833], [0.6667, 0.3333, 0.0705], [0.0000, 0.0000, 0.0962], [0.3333, 0.6667, 0.6346], [0.0000, 0.0000, 0.2500]]}

---

#Q
{"formula": "SiC", "functional": "PBE", "state": "relaxed", "vol_a3_per_atom": 10.493, "lattice_angstrom": [[-1.5473, -2.6800, 0.0000], [1.5473, -2.6800, 0.0000], [0.0000, -1.7866, 43.0173]], "species": ["Si", "Si", "Si", "Si", "Si", "Si", "Si", "Si", "Si", "Si", "Si", "Si", "Si", "Si", "Si", "Si", "Si", "C", "C", "C", "C", "C", "C", "C", "C", "C", "C", "C", "C", "C", "C", "C", "C", "C"], "fractional_positions": [[0.0000, 0.0000, 0.0000], [0.9608, 0.9608, 0.1176], [0.8824, 0.8824, 0.3528], [0.8431, 0.8431, 0.4706], [0.7647, 0.7647, 0.7058], [0.7255, 0.7255, 0.8235], [0.6471, 0.6471, 0.0587], [0.5882, 0.5882, 0.2353], [0.5294, 0.5294, 0.4117], [0.4706, 0.4706, 0.5882], [0.4118, 0.4118, 0.7646], [0.3529, 0.3529, 0.9412], [0.2745, 0.2745, 0.1764], [0.2353, 0.2353, 0.2941], [0.1569, 0.1569, 0.5293], [0.1176, 0.1176, 0.6471], [0.0392, 0.0392, 0.8823], [0.9853, 0.9853, 0.0440], [0.9461, 0.9461, 0.1617], [0.8677, 0.8677, 0.3969], [0.8284, 0.8284, 0.5147], [0.7500, 0.7500, 0.7500], [0.7108, 0.7108, 0.8676], [0.6323, 0.6323, 0.1030], [0.5735, 0.5735, 0.2795], [0.5147, 0.5147, 0.4560], [0.4558, 0.4558, 0.6324], [0.3970, 0.3970, 0.8089], [0.3382, 0.3382, 0.9854], [0.2598, 0.2598, 0.2205], [0.2206, 0.2206, 0.3382], [0.1422, 0.1422, 0.5734], [0.1029, 0.1029, 0.6912], [0.0245, 0.0245, 0.9265]]}

---

#R
{"formula": "SiC", "functional": "PBE", "state": "relaxed", "m_tot_mub_per_cell": 0.0, "vol_a3_per_atom": 10.504, "lattice_angstrom": [[22.7610, -1.5491, 0.0000], [22.7610, 1.5491, 0.0000], [22.6555, 0.0000, 2.6811]], "species": ["Si", "Si", "Si", "Si", "Si", "Si", "Si", "Si", "Si", "C", "C", "C", "C", "C", "C", "C", "C", "C"], "fractional_positions": [[0.8889, 0.8889, 0.8889], [0.5185, 0.5185, 0.5185], [0.1481, 0.1481, 0.1481], [0.2962, 0.2962, 0.2962], [0.5926, 0.5926, 0.5926], [0.9999, 0.9999, 0.9999], [0.4444, 0.4444, 0.4444], [0.3703, 0.3703, 0.3703], [0.7407, 0.7407, 0.7407], [0.3981, 0.3981, 0.3981], [0.7686, 0.7686, 0.7686], [0.3240, 0.3240, 0.3240], [0.0278, 0.0278, 0.0278], [0.4722, 0.4722, 0.4722], [0.9168, 0.9168, 0.9168], [0.1760, 0.1760, 0.1760], [0.5464, 0.5464, 0.5464], [0.6204, 0.6204, 0.6204]]}

---

Least stable structure: #Q